No. 1
6
Lattice="4.3220 0.0000 0.0000 0.0000 4.3968 0.0000 0.0000 0.0000 7.5918" Properties=species:S:1:pos:R:3 comment="EuZnGe | Materials Project | PBE | relaxed" formation_enthalpy_0k_kj_per_mol_fu=-138 m_tot_mub_per_fu=7.10 pbc="T T T"
Eu 1.0805 0.0000 1.7651
Eu 3.2415 0.0000 5.8267
Zn 1.0805 2.1984 4.3701
Zn 3.2415 2.1984 3.2217
Ge 1.0805 2.1984 6.8819
Ge 3.2415 2.1984 0.7099

No. 2
12
Lattice="4.2811 0.0000 0.0000 -2.1406 3.7076 0.0000 0.0000 0.0000 17.1274" Properties=species:S:1:pos:R:3 comment="EuZnGe | Materials Project | PBE | relaxed" formation_enthalpy_0k_kj_per_mol_fu=-161 m_tot_mub_per_fu=7.07 pbc="T T T"
Eu 0.0000 0.0000 0.0000
Eu 0.0000 0.0000 4.2818
Eu 0.0000 0.0000 8.5637
Eu 0.0000 0.0000 12.8455
Zn 0.0000 2.4717 2.1463
Zn 0.0000 2.4717 6.4174
Zn 2.1406 1.2359 10.7100
Zn 2.1406 1.2359 14.9811
Ge 0.0000 2.4717 10.6877
Ge 0.0000 2.4717 15.0034
Ge 2.1406 1.2359 2.1240
Ge 2.1406 1.2359 6.4397